Entry 1:
Computed, not measured: a geometry-optimized GdTh3 structure at the GGA-PBE level of DFT. Values from VASP.

Values from the calculation:
Formation enthalpy at 0 K (eV per atom): 0.07
Symmetry: No. 221

Geometry as Quantum ESPRESSO input:
```
&SYSTEM
  ibrav = 0, nat = 4, ntyp = 2
/
ATOMIC_SPECIES
Gd 157.25 Gd.upf
Th 232.04 Th.upf
CELL_PARAMETERS angstrom
-0.381 -4.908 -1.666
3.594 0.953 -3.631
3.734 -1.418 3.324
ATOMIC_POSITIONS crystal
Gd 0.000 0.000 0.000
Th 0.500 0.000 0.500
Th 0.000 0.500 0.500
Th 0.500 0.500 0.000
```

---

Entry 2:
Computed, not measured: a geometry-optimized GdTl structure at the GGA-PBE level of DFT. Values from VASP.

Values from the calculation:
Formation enthalpy at 0 K (eV per atom): -0.38
Symmetry: No. 221

Geometry as Quantum ESPRESSO input:
```
&SYSTEM
  ibrav = 0, nat = 2, ntyp = 2
/
ATOMIC_SPECIES
Gd 157.25 Gd.upf
Tl 204.38 Tl.upf
CELL_PARAMETERS angstrom
3.858 0.000 0.000
0.000 3.858 0.000
0.000 0.000 3.858
ATOMIC_POSITIONS crystal
Gd 0.000 0.000 0.000
Tl 0.500 0.500 0.500
```

---

Entry 3:
Computed, not measured: a geometry-optimized GdTlZn structure at the GGA-PBE level of DFT. Values from VASP.

Values from the calculation:
Formation enthalpy at 0 K (eV per atom): -0.33
Symmetry: No. 194

Geometry as Quantum ESPRESSO input:
```
&SYSTEM
  ibrav = 0, nat = 6, ntyp = 3
/
ATOMIC_SPECIES
Zn 65.41 Zn.upf
Tl 204.38 Tl.upf
Gd 157.25 Gd.upf
CELL_PARAMETERS angstrom
-2.382 -4.126 0.000
-2.382 4.126 0.000
0.000 0.000 -7.364
ATOMIC_POSITIONS crystal
Zn 0.667 0.333 0.750
Tl 0.333 0.667 0.750
Gd 0.000 0.000 0.000
Zn 0.333 0.667 0.250
Gd 0.000 0.000 0.500
Tl 0.667 0.333 0.250
```

---

Entry 4:
Computed, not measured: a geometry-optimized GdU3 structure at the GGA-PBE level of DFT. Values from VASP.

Values from the calculation:
Formation enthalpy at 0 K (eV per atom): 0.52
Symmetry: No. 139

Geometry as Quantum ESPRESSO input:
```
&SYSTEM
  ibrav = 0, nat = 4, ntyp = 2
/
ATOMIC_SPECIES
U 238.03 U.upf
Gd 157.25 Gd.upf
CELL_PARAMETERS angstrom
-2.186 2.186 4.814
2.186 -2.186 4.814
2.186 2.186 -4.814
ATOMIC_POSITIONS crystal
U 0.500 0.500 0.000
U 0.750 0.250 0.500
Gd 0.000 0.000 0.000
U 0.250 0.750 0.500
```

---

Entry 5:
Computed, not measured: a geometry-optimized GdY3 structure at the GGA-PBE level of DFT. Values from VASP.

Values from the calculation:
Formation enthalpy at 0 K (eV per atom): 0.02
Symmetry: No. 139

Geometry as Quantum ESPRESSO input:
```
&SYSTEM
  ibrav = 0, nat = 4, ntyp = 2
/
ATOMIC_SPECIES
Gd 157.25 Gd.upf
Y 88.91 Y.upf
CELL_PARAMETERS angstrom
-3.354 0.896 5.175
-3.908 4.783 -0.828
1.130 -5.096 -3.404
ATOMIC_POSITIONS crystal
Gd 0.000 0.000 0.000
Y 0.250 0.750 0.500
Y 0.750 0.250 0.500
Y 0.500 0.500 0.000
```

---

Entry 6:
Computed, not measured: a geometry-optimized GdY3 structure at the GGA-PBE level of DFT. Values from VASP.

Values from the calculation:
Formation enthalpy at 0 K (eV per atom): 0.03
Symmetry: No. 221

Geometry as Quantum ESPRESSO input:
```
&SYSTEM
  ibrav = 0, nat = 4, ntyp = 2
/
ATOMIC_SPECIES
Y 88.91 Y.upf
Gd 157.25 Gd.upf
CELL_PARAMETERS angstrom
5.096 0.000 0.000
0.000 5.096 0.000
0.000 0.000 5.096
ATOMIC_POSITIONS crystal
Y 0.000 0.500 0.500
Y 0.500 0.500 0.000
Y 0.500 0.000 0.500
Gd 0.000 0.000 0.000
```